36
Lattice="8.252 -5.570 0.000 8.252 5.570 0.000 -1.686 0.000 5.133" Properties=species:S:1:pos:R:3 comment="Dy2MoO6 PBE+U optimized geometry" volume_a3_per_atom=13.11 formation_energy_kj_per_mol_atoms=-308 rho_g_cm3=7.28 final_energy_ev_per_atom=-7.9038 pbc="T T T"
Dy 1.288 1.291 4.510
Dy 6.988 4.379 3.850
Dy 2.131 -1.291 1.943
Dy 7.831 1.515 1.283
Dy 6.988 -1.515 3.850
Dy 12.687 1.291 3.190
Dy 7.831 -4.379 1.283
Dy 13.530 -1.291 0.623
Mo 4.768 1.582 2.876
Mo 5.611 -1.582 0.310
Mo 9.207 1.582 4.824
Mo 10.050 -1.582 2.257
O 4.059 2.260 1.305
O 1.373 0.198 0.402
O 0.530 -0.198 2.968
O 6.354 2.946 2.142
O 5.045 2.466 4.471
O 3.276 0.594 3.268
O 9.308 2.946 0.424
O 4.119 -0.594 0.701
O 8.930 2.466 3.229
O 6.073 0.340 2.642
O 6.916 -0.340 0.075
O 3.216 -2.260 3.871
O 11.602 2.260 1.262
O 7.902 0.340 5.058
O 8.745 -0.340 2.492
O 5.889 -2.466 1.904
O 10.699 0.594 4.432
O 5.511 -2.946 4.709
O 11.542 -0.594 1.866
O 9.773 -2.466 0.662
O 8.465 -2.946 2.991
O 14.288 0.198 2.165
O 13.445 -0.198 4.732
O 10.759 -2.260 3.829